## CaZn2P2 (PBE)

Data for an optimized crystal structure of CaZn2P2.

Cell: 4.048 4.048 6.845 Å, 90.00 90.00 120.00°
Sites, in units of the cell vectors:
Ca  0.000  0.000  0.000
Zn  0.333  0.667  0.367
Zn  0.667  0.333  0.633
P  0.667  0.333  0.262
P  0.333  0.667  0.738

Output
energy: -0.1386 hartree per atom
formation energy: -68 kJ per mole of atoms

## GeNCl3 (PBE)

Data for an optimized crystal structure of GeNCl3.

Cell: 8.590 8.553 9.615 Å, 90.00 90.00 90.00°
Sites, in units of the cell vectors:
Ge  0.734  0.250  0.359
Ge  0.234  0.250  0.141
Ge  0.266  0.750  0.641
Ge  0.766  0.750  0.859
N  0.503  0.250  0.762
N  0.003  0.250  0.738
N  0.497  0.750  0.238
N  0.997  0.750  0.262
Cl  0.753  0.044  0.490
Cl  0.253  0.456  0.010
Cl  0.247  0.544  0.510
Cl  0.747  0.956  0.990
Cl  0.247  0.956  0.510
Cl  0.747  0.544  0.990
Cl  0.753  0.456  0.490
Cl  0.253  0.044  0.010
Cl  0.970  0.250  0.232
Cl  0.470  0.250  0.268
Cl  0.030  0.750  0.768
Cl  0.530  0.750  0.732

Output
ΔE to the lowest computed polymorph: 0 meV per atom
energy: -0.1196 hartree per atom
formation energy: 8 kJ per mole of atoms
M_tot: 0.60 μB per atom

## DyAl (PBE)

Data for an optimized crystal structure of DyAl.

Cell: 5.632 5.852 11.439 Å, 90.00 90.00 90.00°
Sites, in units of the cell vectors:
Dy  0.750  0.164  0.482
Dy  0.250  0.836  0.518
Dy  0.250  0.164  0.018
Dy  0.750  0.836  0.982
Dy  0.750  0.401  0.168
Dy  0.250  0.599  0.832
Dy  0.250  0.401  0.332
Dy  0.750  0.599  0.668
Al  0.750  0.663  0.401
Al  0.250  0.337  0.599
Al  0.250  0.663  0.099
Al  0.750  0.337  0.901
Al  0.500  0.932  0.250
Al  0.000  0.068  0.750
Al  0.500  0.068  0.750
Al  0.000  0.932  0.250

Output
energy: -0.1687 hartree per atom
formation energy: -40 kJ per mole of atoms